{
  "formula": "LiVP4O12",
  "functional": "GGA+U",
  "state": "relaxed",
  "e_form_ev_per_atom": -2.63,
  "volume_a3_per_cell": 468.62,
  "e_above_lowest_polymorph_ev_per_atom": 0.046,
  "cell": [[0.683, -6.973, 4.947], [3.866, -0.885, 7.604], [-3.978, -3.218, 12.138]],
  "species": ["Li", "Li", "V", "V", "P", "P", "P", "P", "P", "P", "P", "P", "O", "O", "O", "O", "O", "O", "O", "O", "O", "O", "O", "O", "O", "O", "O", "O", "O", "O", "O", "O", "O", "O", "O", "O"],
  "frac_coords": [[0.941, 0.059, 0.750], [0.059, 0.941, 0.250], [0.382, 0.618, 0.750], [0.618, 0.382, 0.250], [0.144, 0.306, 0.160], [0.571, 0.911, 0.141], [0.089, 0.429, 0.359], [0.694, 0.856, 0.340], [0.306, 0.144, 0.660], [0.911, 0.571, 0.641], [0.429, 0.089, 0.859], [0.856, 0.694, 0.840], [0.304, 0.051, 0.208], [0.429, 0.330, 0.773], [0.070, 0.356, 0.285], [0.062, 0.722, 0.790], [0.644, 0.930, 0.215], [0.525, 0.735, 0.512], [0.966, 0.297, 0.538], [0.703, 0.034, 0.962], [0.949, 0.696, 0.292], [0.265, 0.475, 0.988], [0.330, 0.429, 0.273], [0.278, 0.938, 0.710], [0.722, 0.062, 0.290], [0.670, 0.571, 0.727], [0.735, 0.525, 0.012], [0.051, 0.304, 0.708], [0.297, 0.966, 0.038], [0.034, 0.703, 0.462], [0.475, 0.265, 0.488], [0.356, 0.070, 0.785], [0.938, 0.278, 0.210], [0.930, 0.644, 0.715], [0.571, 0.670, 0.227], [0.696, 0.949, 0.792]]
}



{
  "formula": "Li5V3P8O29",
  "functional": "GGA+U",
  "state": "relaxed",
  "e_form_ev_per_atom": -2.62,
  "volume_a3_per_cell": 1171.89,
  "e_above_lowest_polymorph_ev_per_atom": 0.004,
  "cell": [[9.778, 0.000, 0.000], [4.868, 8.484, 0.000], [0.095, 0.155, 14.127]],
  "species": ["Li", "Li", "Li", "Li", "Li", "Li", "Li", "Li", "Li", "Li", "V", "V", "V", "V", "V", "V", "P", "P", "P", "P", "P", "P", "P", "P", "P", "P", "P", "P", "P", "P", "P", "P", "O", "O", "O", "O", "O", "O", "O", "O", "O", "O", "O", "O", "O", "O", "O", "O", "O", "O", "O", "O", "O", "O", "O", "O", "O", "O", "O", "O", "O", "O", "O", "O", "O", "O", "O", "O", "O", "O", "O", "O", "O", "O", "O", "O", "O", "O", "O", "O", "O", "O", "O", "O", "O", "O", "O", "O", "O", "O"],
  "frac_coords": [[0.897, 0.766, 0.444], [0.327, 0.909, 0.437], [0.332, 0.765, 0.941], [0.900, 0.334, 0.939], [0.233, 0.669, 0.559], [0.761, 0.340, 0.440], [0.683, 0.229, 0.060], [0.329, 0.324, 0.894], [0.010, 0.940, 0.006], [0.977, 0.046, 0.503], [0.433, 0.569, 0.750], [0.566, 0.433, 0.250], [0.999, 0.567, 0.245], [0.000, 0.434, 0.748], [0.564, 0.999, 0.750], [0.438, 0.000, 0.251], [0.779, 0.918, 0.158], [0.915, 0.777, 0.660], [0.310, 0.918, 0.653], [0.667, 0.665, 0.870], [0.671, 0.663, 0.370], [0.315, 0.776, 0.160], [0.224, 0.683, 0.341], [0.914, 0.315, 0.153], [0.089, 0.689, 0.844], [0.775, 0.314, 0.659], [0.683, 0.224, 0.840], [0.332, 0.335, 0.631], [0.333, 0.333, 0.132], [0.695, 0.082, 0.343], [0.083, 0.222, 0.337], [0.218, 0.086, 0.838], [0.795, 0.996, 0.427], [0.750, 0.915, 0.665], [0.001, 0.787, 0.926], [0.919, 0.744, 0.166], [0.622, 0.922, 0.167], [0.661, 0.815, 0.823], [0.467, 0.914, 0.665], [0.207, 0.989, 0.916], [0.350, 0.912, 0.172], [0.813, 0.674, 0.321], [0.915, 0.618, 0.678], [0.515, 0.810, 0.335], [0.672, 0.655, 0.975], [0.692, 0.656, 0.475], [0.514, 0.668, 0.832], [0.910, 0.474, 0.172], [0.816, 0.517, 0.827], [0.335, 0.747, 0.666], [0.202, 0.792, 0.248], [0.221, 0.772, 0.428], [0.234, 0.786, 0.069], [0.471, 0.618, 0.175], [0.676, 0.511, 0.332], [0.262, 0.656, 0.843], [0.620, 0.468, 0.671], [0.917, 0.344, 0.671], [0.016, 0.787, 0.746], [0.000, 0.769, 0.569], [0.987, 0.211, 0.417], [0.078, 0.660, 0.339], [0.376, 0.527, 0.328], [0.746, 0.337, 0.162], [0.325, 0.489, 0.667], [0.520, 0.377, 0.825], [0.764, 0.236, 0.928], [0.794, 0.230, 0.568], [0.793, 0.203, 0.749], [0.657, 0.257, 0.339], [0.186, 0.482, 0.178], [0.095, 0.527, 0.833], [0.488, 0.329, 0.166], [0.326, 0.343, 0.026], [0.319, 0.335, 0.527], [0.476, 0.190, 0.679], [0.077, 0.383, 0.327], [0.184, 0.337, 0.683], [0.656, 0.084, 0.841], [0.799, 0.003, 0.250], [0.803, 0.000, 0.074], [0.541, 0.076, 0.332], [0.329, 0.192, 0.177], [0.369, 0.099, 0.833], [0.076, 0.259, 0.841], [0.986, 0.244, 0.061], [0.013, 0.199, 0.239], [0.255, 0.084, 0.341], [0.224, 0.983, 0.561], [0.195, 0.019, 0.738]]
}



{
  "formula": "Li5V3P8O29",
  "functional": "GGA+U",
  "state": "relaxed",
  "e_form_ev_per_atom": -2.62,
  "volume_a3_per_cell": 1168.97,
  "e_above_lowest_polymorph_ev_per_atom": 0.002,
  "cell": [[-4.046, 7.663, -4.515], [-2.959, -0.841, -9.296], [-12.722, -4.100, 4.412]],
  "species": ["Li", "Li", "Li", "Li", "Li", "Li", "Li", "Li", "Li", "Li", "V", "V", "V", "V", "V", "V", "P", "P", "P", "P", "P", "P", "P", "P", "P", "P", "P", "P", "P", "P", "P", "P", "O", "O", "O", "O", "O", "O", "O", "O", "O", "O", "O", "O", "O", "O", "O", "O", "O", "O", "O", "O", "O", "O", "O", "O", "O", "O", "O", "O", "O", "O", "O", "O", "O", "O", "O", "O", "O", "O", "O", "O", "O", "O", "O", "O", "O", "O", "O", "O", "O", "O", "O", "O", "O", "O", "O", "O", "O", "O"],
  "frac_coords": [[0.682, 0.231, 0.941], [0.685, 0.087, 0.436], [0.232, 0.674, 0.439], [0.336, 0.335, 0.115], [0.089, 0.676, 0.940], [0.235, 0.088, 0.941], [0.096, 0.235, 0.438], [0.772, 0.317, 0.560], [0.312, 0.911, 0.559], [0.997, 0.997, 0.011], [0.998, 0.569, 0.750], [0.994, 0.437, 0.247], [0.571, 0.996, 0.251], [0.435, 0.002, 0.752], [0.564, 0.433, 0.756], [0.436, 0.568, 0.247], [0.687, 0.223, 0.158], [0.680, 0.090, 0.656], [0.234, 0.677, 0.658], [0.329, 0.335, 0.875], [0.333, 0.334, 0.371], [0.087, 0.688, 0.154], [0.917, 0.771, 0.339], [0.224, 0.092, 0.158], [0.778, 0.916, 0.839], [0.087, 0.233, 0.657], [0.917, 0.309, 0.841], [0.666, 0.664, 0.633], [0.668, 0.666, 0.128], [0.769, 0.320, 0.341], [0.314, 0.914, 0.341], [0.308, 0.776, 0.841], [0.767, 0.236, 0.430], [0.663, 0.256, 0.666], [0.798, 0.005, 0.919], [0.660, 0.081, 0.169], [0.522, 0.373, 0.167], [0.486, 0.323, 0.839], [0.380, 0.517, 0.679], [0.202, 0.791, 0.921], [0.256, 0.657, 0.162], [0.486, 0.185, 0.335], [0.518, 0.102, 0.681], [0.335, 0.483, 0.328], [0.321, 0.343, 0.982], [0.319, 0.343, 0.476], [0.185, 0.490, 0.833], [0.373, 0.106, 0.168], [0.319, 0.190, 0.837], [0.085, 0.659, 0.668], [0.990, 0.797, 0.242], [0.013, 0.762, 0.422], [0.009, 0.768, 0.063], [0.096, 0.523, 0.169], [0.185, 0.332, 0.325], [0.920, 0.743, 0.838], [0.100, 0.382, 0.679], [0.251, 0.084, 0.660], [0.799, 0.987, 0.739], [0.742, 0.018, 0.562], [0.237, 0.005, 0.430], [0.748, 0.915, 0.341], [0.910, 0.618, 0.321], [0.079, 0.261, 0.167], [0.816, 0.662, 0.682], [0.919, 0.465, 0.829], [0.010, 0.205, 0.921], [0.002, 0.249, 0.565], [0.987, 0.215, 0.741], [0.921, 0.337, 0.339], [0.670, 0.809, 0.172], [0.622, 0.915, 0.832], [0.816, 0.516, 0.177], [0.678, 0.650, 0.024], [0.679, 0.659, 0.528], [0.670, 0.514, 0.674], [0.474, 0.906, 0.322], [0.516, 0.815, 0.670], [0.745, 0.340, 0.842], [0.791, 0.212, 0.249], [0.775, 0.211, 0.069], [0.621, 0.479, 0.328], [0.522, 0.661, 0.173], [0.465, 0.620, 0.832], [0.340, 0.917, 0.839], [0.210, 0.016, 0.069], [0.207, 0.002, 0.249], [0.332, 0.750, 0.341], [0.243, 0.750, 0.566], [0.216, 0.797, 0.741]]
}



{
  "formula": "LiV2P3O10",
  "functional": "GGA+U",
  "state": "relaxed",
  "e_form_ev_per_atom": -2.63,
  "volume_a3_per_cell": 366.13,
  "cell": [[8.669, 0.000, 0.000], [0.000, 4.657, 0.000], [0.000, 1.191, 9.069]],
  "species": ["Li", "Li", "V", "V", "V", "V", "P", "P", "P", "P", "P", "P", "O", "O", "O", "O", "O", "O", "O", "O", "O", "O", "O", "O", "O", "O", "O", "O", "O", "O", "O", "O"],
  "frac_coords": [[0.000, 0.000, 0.000], [0.500, 0.000, 0.000], [0.070, 0.968, 0.335], [0.430, 0.968, 0.335], [0.570, 0.032, 0.665], [0.930, 0.032, 0.665], [0.250, 0.671, 0.822], [0.750, 0.598, 0.463], [0.750, 0.458, 0.859], [0.250, 0.542, 0.141], [0.250, 0.402, 0.537], [0.750, 0.329, 0.178], [0.101, 0.841, 0.814], [0.399, 0.841, 0.814], [0.750, 0.759, 0.766], [0.601, 0.767, 0.484], [0.899, 0.767, 0.484], [0.250, 0.706, 0.447], [0.102, 0.714, 0.155], [0.398, 0.714, 0.155], [0.250, 0.449, 0.973], [0.750, 0.561, 0.290], [0.250, 0.439, 0.710], [0.750, 0.551, 0.027], [0.602, 0.286, 0.845], [0.898, 0.286, 0.845], [0.750, 0.294, 0.553], [0.101, 0.233, 0.516], [0.399, 0.233, 0.516], [0.250, 0.241, 0.234], [0.601, 0.159, 0.186], [0.899, 0.159, 0.186]]
}



{
  "formula": "Li2VP2O8",
  "functional": "GGA+U",
  "state": "relaxed",
  "e_form_ev_per_atom": -2.65,
  "volume_a3_per_cell": 450.54,
  "e_above_lowest_polymorph_ev_per_atom": 0.010,
  "cell": [[-7.175, 4.237, 1.030], [1.266, -4.477, -6.989], [-3.022, -5.904, 3.235]],
  "species": ["Li", "Li", "Li", "Li", "Li", "Li", "V", "V", "V", "P", "P", "P", "P", "P", "P", "O", "O", "O", "O", "O", "O", "O", "O", "O", "O", "O", "O", "O", "O", "O", "O", "O", "O", "O", "O", "O", "O", "O", "O"],
  "frac_coords": [[0.969, 0.309, 0.637], [0.341, 0.031, 0.637], [0.309, 0.341, 0.363], [0.691, 0.659, 0.637], [0.659, 0.969, 0.363], [0.031, 0.691, 0.363], [0.000, 0.000, 0.000], [0.667, 0.333, 0.925], [0.333, 0.667, 0.075], [0.960, 0.309, 0.220], [0.349, 0.040, 0.220], [0.309, 0.349, 0.780], [0.691, 0.651, 0.220], [0.651, 0.960, 0.780], [0.040, 0.691, 0.780], [0.859, 0.064, 0.840], [0.862, 0.232, 0.398], [0.598, 0.114, 0.762], [0.819, 0.282, 0.072], [0.463, 0.181, 0.072], [0.370, 0.138, 0.398], [0.886, 0.483, 0.762], [0.205, 0.141, 0.840], [0.517, 0.402, 0.762], [0.064, 0.205, 0.160], [0.718, 0.537, 0.072], [0.768, 0.630, 0.398], [0.232, 0.370, 0.602], [0.282, 0.463, 0.928], [0.936, 0.795, 0.840], [0.483, 0.598, 0.238], [0.795, 0.859, 0.160], [0.114, 0.517, 0.238], [0.630, 0.862, 0.602], [0.537, 0.819, 0.928], [0.181, 0.718, 0.928], [0.402, 0.886, 0.238], [0.138, 0.768, 0.602], [0.141, 0.936, 0.160]]
}



{
  "formula": "Li5V3P8O29",
  "functional": "GGA+U",
  "state": "relaxed",
  "e_form_ev_per_atom": -2.62,
  "volume_a3_per_cell": 1160.68,
  "e_above_lowest_polymorph_ev_per_atom": 0.002,
  "cell": [[4.899, 8.482, 0.000], [-4.899, 8.482, 0.000], [0.000, 0.023, 13.968]],
  "species": ["Li", "Li", "Li", "Li", "Li", "Li", "Li", "Li", "Li", "Li", "V", "V", "V", "V", "V", "V", "P", "P", "P", "P", "P", "P", "P", "P", "P", "P", "P", "P", "P", "P", "P", "P", "O", "O", "O", "O", "O", "O", "O", "O", "O", "O", "O", "O", "O", "O", "O", "O", "O", "O", "O", "O", "O", "O", "O", "O", "O", "O", "O", "O", "O", "O", "O", "O", "O", "O", "O", "O", "O", "O", "O", "O", "O", "O", "O", "O", "O", "O", "O", "O", "O", "O", "O", "O", "O", "O", "O", "O", "O", "O"],
  "frac_coords": [[0.322, 0.905, 0.061], [0.317, 0.770, 0.559], [0.776, 0.902, 0.558], [0.902, 0.776, 0.058], [0.770, 0.317, 0.059], [0.225, 0.680, 0.940], [0.905, 0.322, 0.561], [0.092, 0.230, 0.939], [0.230, 0.092, 0.439], [0.680, 0.225, 0.440], [0.570, 0.002, 0.755], [0.431, 0.567, 0.751], [0.002, 0.570, 0.255], [0.998, 0.433, 0.746], [0.567, 0.431, 0.251], [0.433, 0.998, 0.246], [0.319, 0.913, 0.842], [0.320, 0.768, 0.342], [0.766, 0.913, 0.342], [0.663, 0.671, 0.628], [0.671, 0.663, 0.128], [0.913, 0.766, 0.842], [0.086, 0.683, 0.658], [0.768, 0.320, 0.842], [0.231, 0.680, 0.159], [0.913, 0.319, 0.342], [0.086, 0.234, 0.158], [0.330, 0.333, 0.873], [0.333, 0.330, 0.373], [0.234, 0.086, 0.658], [0.680, 0.231, 0.659], [0.683, 0.086, 0.158], [0.248, 0.996, 0.568], [0.338, 0.917, 0.337], [0.210, 0.789, 0.251], [0.236, 0.761, 0.069], [0.481, 0.902, 0.824], [0.335, 0.748, 0.843], [0.515, 0.811, 0.166], [0.620, 0.898, 0.325], [0.767, 0.993, 0.073], [0.746, 0.916, 0.835], [0.510, 0.678, 0.668], [0.669, 0.818, 0.672], [0.481, 0.617, 0.321], [0.667, 0.676, 0.521], [0.676, 0.667, 0.021], [0.617, 0.481, 0.821], [0.818, 0.669, 0.172], [0.678, 0.510, 0.168], [0.916, 0.746, 0.335], [0.008, 0.785, 0.754], [0.997, 0.761, 0.933], [0.993, 0.767, 0.573], [0.898, 0.620, 0.825], [0.811, 0.515, 0.666], [0.748, 0.335, 0.343], [0.079, 0.666, 0.161], [0.902, 0.481, 0.324], [0.249, 0.759, 0.434], [0.761, 0.236, 0.569], [0.097, 0.521, 0.676], [0.917, 0.338, 0.837], [0.789, 0.210, 0.751], [0.254, 0.662, 0.660], [0.185, 0.481, 0.325], [0.095, 0.384, 0.177], [0.996, 0.248, 0.068], [0.004, 0.243, 0.432], [0.999, 0.210, 0.250], [0.084, 0.251, 0.657], [0.326, 0.486, 0.834], [0.377, 0.519, 0.176], [0.185, 0.324, 0.833], [0.324, 0.339, 0.479], [0.339, 0.324, 0.979], [0.519, 0.377, 0.676], [0.324, 0.185, 0.333], [0.486, 0.326, 0.334], [0.251, 0.084, 0.157], [0.210, 0.999, 0.750], [0.243, 0.004, 0.932], [0.384, 0.095, 0.677], [0.481, 0.185, 0.825], [0.662, 0.254, 0.160], [0.521, 0.097, 0.176], [0.759, 0.249, 0.934], [0.666, 0.079, 0.661], [0.761, 0.997, 0.433], [0.785, 0.008, 0.254]]
}



Q: Which formula does entry 5 have?
A: Li2VP2O8